Record 1
First-principles (PBE) data for a relaxed structure of NdSc4Si4, as listed in Materials Project.

The structure in POSCAR format:
```
NdSc4Si4
1.0
7.119 0.000 0.000
0.000 7.344 0.000
0.000 0.000 13.940
Nd Sc Si
4 16 16
direct
0.238 0.674 0.157
0.738 0.826 0.843
0.262 0.326 0.657
0.762 0.174 0.343
0.923 0.674 0.623
0.423 0.826 0.377
0.577 0.326 0.123
0.077 0.174 0.877
0.580 0.321 0.874
0.080 0.179 0.126
0.920 0.679 0.374
0.420 0.821 0.626
0.091 0.004 0.501
0.591 0.496 0.499
0.409 0.996 0.001
0.909 0.504 0.999
0.270 0.319 0.354
0.770 0.181 0.646
0.230 0.681 0.854
0.730 0.819 0.146
0.088 0.960 0.712
0.588 0.540 0.288
0.412 0.040 0.212
0.912 0.460 0.788
0.393 0.024 0.794
0.893 0.476 0.206
0.107 0.976 0.294
0.607 0.524 0.706
0.968 0.373 0.498
0.468 0.127 0.502
0.532 0.627 0.998
0.032 0.873 0.002
0.219 0.615 0.498
0.719 0.885 0.502
0.281 0.385 0.998
0.781 0.115 0.002
```

Calculated values
Total magnetic moment: 0.00 Bohr magnetons per cell
V: 20.24 Å³ per atom
DFT formation energy: -0.753 eV per atom

Record 2
First-principles (PBE) data for a relaxed structure of Mg6TiZn, as listed in Materials Project.

The structure in POSCAR format:
```
Mg6TiZn
1.0
-2.626 -0.157 -4.121
1.095 -6.137 -0.464
-8.948 -2.033 5.781
Mg Ti Zn
12 2 2
direct
0.000 0.743 0.087
0.000 0.257 0.087
0.000 0.000 0.333
0.500 0.258 0.417
0.500 0.742 0.417
0.500 0.000 0.166
0.000 0.243 0.587
0.000 0.757 0.587
0.000 0.500 0.833
0.500 0.758 0.917
0.500 0.242 0.917
0.500 0.500 0.666
0.500 0.500 0.174
0.500 0.000 0.674
0.000 0.500 0.320
0.000 0.000 0.820
```

Calculated values
Total magnetic moment: 2.40 Bohr magnetons per cell
V: 20.72 Å³ per atom
DFT formation energy: 0.071 eV per atom

Record 3
First-principles (PBE) data for a relaxed structure of TiMoAs2, as listed in Materials Project.

The structure in POSCAR format:
```
TiMoAs2
1.0
3.420 0.000 0.000
0.000 6.112 0.000
0.000 0.000 6.447
Ti Mo As
2 2 4
direct
0.000 0.505 0.435
0.000 0.005 0.565
0.500 0.492 0.061
0.500 0.992 0.939
0.500 0.304 0.680
0.500 0.804 0.320
0.000 0.699 0.825
0.000 0.199 0.175
```

Calculated values
Total magnetic moment: 0.03 Bohr magnetons per cell
V: 16.84 Å³ per atom
DFT formation energy: -0.582 eV per atom